1.
Compound: CsDyS2
Source: Materials Project
Functional: PBE-GGA
Structure: optimized geometry

## Properties
The value obtained for the total energy after the MP2020 corrections is -5.51 eV/atom. The value obtained for the total energy is -42.11 eV per cell. Its space group is P6_3/mmc. The value obtained for the calculated formation energy is -2.071 eV per atom.

a b c (Å): 4.110 4.110 16.079
angles (deg): 90.00 90.00 120.00
Atoms (fractional coordinates):
Cs 0.667 0.333 0.250
Cs 0.333 0.667 0.750
Dy 0.000 0.000 0.500
Dy 0.000 0.000 0.000
S 0.333 0.667 0.091
S 0.667 0.333 0.591
S 0.667 0.333 0.909
S 0.333 0.667 0.409

2.
Compound: CsDyS2
Source: Materials Project
Functional: PBE-GGA
Structure: optimized geometry

## Properties
The value obtained for the total energy after the MP2020 corrections is -5.51 eV/atom. The value obtained for the total energy is -21.05 eV per cell. Its space group is R-3m. The value obtained for the calculated formation energy is -2.069 eV per atom.

a b c (Å): 4.108 4.108 8.400
angles (deg): 75.85 75.85 60.00
Atoms (fractional coordinates):
Cs 0.000 0.000 0.000
Dy 0.500 0.500 0.500
S 0.773 0.773 0.681
S 0.227 0.227 0.319

3.
Compound: CsDySiS4
Source: Materials Project
Functional: PBE-GGA
Structure: optimized geometry

## Properties
The value obtained for the total energy after the MP2020 corrections is -5.65 eV/atom. The value obtained for the total energy is -150.17 eV per cell. Its space group is P2_12_12_1. As for the total moment: 0.0 Bohr magnetons per cell. The value obtained for the calculated formation energy is -1.726 eV per atom.

a b c (Å): 6.406 6.746 18.044
angles (deg): 90.00 90.00 90.00
Atoms (fractional coordinates):
Cs 0.502 0.494 0.967
Cs 0.998 0.506 0.467
Cs 0.002 0.006 0.033
Cs 0.498 0.994 0.533
Dy 0.292 0.479 0.229
Dy 0.208 0.521 0.729
Dy 0.792 0.021 0.771
Dy 0.708 0.979 0.271
Si 0.791 0.517 0.170
Si 0.709 0.483 0.670
Si 0.291 0.983 0.830
Si 0.209 0.017 0.330
S 0.053 0.511 0.099
S 0.447 0.489 0.599
S 0.553 0.989 0.901
S 0.947 0.011 0.401
S 0.605 0.423 0.779
S 0.895 0.577 0.279
S 0.105 0.077 0.221
S 0.395 0.923 0.721
S 0.568 0.747 0.149
S 0.932 0.253 0.649
S 0.068 0.753 0.851
S 0.432 0.247 0.351
S 0.605 0.254 0.159
S 0.895 0.746 0.659
S 0.105 0.246 0.841
S 0.395 0.754 0.341

4.
Compound: CsDyZnSe3
Source: Materials Project
Functional: PBE-GGA
Structure: optimized geometry

## Properties
The value obtained for the total energy after the MP2020 corrections is -4.52 eV/atom. The value obtained for the total energy is -51.45 eV per cell. Its space group is Cmcm. As for the total moment: 0.0 Bohr magnetons per cell. The value obtained for the calculated formation energy is -1.649 eV per atom.

a b c (Å): 8.316 8.316 10.993
angles (deg): 90.00 90.00 150.64
Atoms (fractional coordinates):
Cs 0.259 0.741 0.250
Cs 0.741 0.259 0.750
Dy 0.000 0.000 0.500
Dy 0.000 0.000 0.000
Zn 0.540 0.460 0.250
Zn 0.460 0.540 0.750
Se 0.617 0.383 0.442
Se 0.383 0.617 0.558
Se 0.617 0.383 0.058
Se 0.383 0.617 0.942
Se 0.946 0.054 0.250
Se 0.054 0.946 0.750

5.
Compound: CsErP4O12
Source: Materials Project
Functional: PBE-GGA
Structure: optimized geometry

## Properties
The value obtained for the total energy after the MP2020 corrections is -7.73 eV/atom. The value obtained for the total energy is -523.24 eV per cell. Its space group is P2_1/c. As for the total moment: 0.0 Bohr magnetons per cell. The value obtained for the calculated formation energy is -2.920 eV per atom.

a b c (Å): 8.923 10.377 12.948
angles (deg): 56.56 90.00 90.00
Atoms (fractional coordinates):
Cs 0.065 0.782 0.039
Cs 0.565 0.218 0.461
Cs 0.935 0.218 0.961
Cs 0.435 0.782 0.539
Er 0.726 0.684 0.819
Er 0.774 0.684 0.319
Er 0.226 0.316 0.681
Er 0.274 0.316 0.181
P 0.112 0.201 0.473
P 0.672 0.330 0.130
P 0.828 0.330 0.630
P 0.089 0.609 0.744
P 0.973 0.032 0.713
P 0.328 0.670 0.870
P 0.172 0.670 0.370
P 0.612 0.799 0.027
P 0.411 0.609 0.244
P 0.473 0.968 0.787
P 0.911 0.391 0.256
P 0.527 0.032 0.213
P 0.888 0.799 0.527
P 0.027 0.968 0.287
P 0.589 0.391 0.756
P 0.388 0.201 0.973
O 0.214 0.165 0.399
O 0.340 0.839 0.849
O 0.327 0.296 0.017
O 0.840 0.161 0.651
O 0.660 0.161 0.151
O 0.208 0.715 0.760
O 0.743 0.434 0.006
O 0.827 0.524 0.244
O 0.545 0.577 0.324
O 0.955 0.577 0.824
O 0.243 0.566 0.494
O 0.904 0.875 0.792
O 0.455 0.423 0.676
O 0.916 0.920 0.228
O 0.046 0.729 0.600
O 0.827 0.704 0.483
O 0.292 0.715 0.260
O 0.027 0.628 0.338
O 0.954 0.957 0.408
O 0.084 0.080 0.772
O 0.792 0.285 0.240
O 0.673 0.704 0.983
O 0.454 0.729 0.100
O 0.160 0.839 0.349
O 0.673 0.524 0.744
O 0.327 0.476 0.256
O 0.173 0.476 0.756
O 0.546 0.957 0.908
O 0.173 0.296 0.517
O 0.045 0.423 0.176
O 0.973 0.372 0.662
O 0.046 0.043 0.592
O 0.416 0.080 0.272
O 0.757 0.434 0.506
O 0.954 0.271 0.400
O 0.257 0.566 0.994
O 0.286 0.165 0.899
O 0.786 0.835 0.601
O 0.096 0.125 0.208
O 0.527 0.372 0.162
O 0.404 0.125 0.708
O 0.708 0.285 0.740
O 0.714 0.835 0.101
O 0.584 0.920 0.728
O 0.596 0.875 0.292
O 0.473 0.628 0.838
O 0.546 0.271 0.900
O 0.454 0.043 0.092

6.
Compound: CsErP2O7
Source: Materials Project
Functional: PBE-GGA
Structure: optimized geometry

## Properties
The value obtained for the total energy after the MP2020 corrections is -7.79 eV/atom. The value obtained for the total energy is -323.50 eV per cell. Its space group is P2_1/c. As for the total moment: 0.0 Bohr magnetons per cell. The value obtained for the calculated formation energy is -3.160 eV per atom.

a b c (Å): 10.970 8.002 8.863
angles (deg): 75.58 90.00 90.00
Atoms (fractional coordinates):
Cs 0.807 0.301 0.051
Cs 0.307 0.699 0.449
Cs 0.193 0.699 0.949
Cs 0.693 0.301 0.551
Er 0.100 0.263 0.754
Er 0.600 0.737 0.746
Er 0.900 0.737 0.246
Er 0.400 0.263 0.254
P 0.904 0.632 0.677
P 0.404 0.368 0.823
P 0.096 0.368 0.323
P 0.596 0.632 0.177
P 0.369 0.074 0.682
P 0.869 0.926 0.818
P 0.631 0.926 0.318
P 0.131 0.074 0.182
O 0.998 0.504 0.770
O 0.498 0.496 0.730
O 0.002 0.496 0.230
O 0.502 0.504 0.270
O 0.085 0.347 0.498
O 0.585 0.653 0.002
O 0.915 0.653 0.502
O 0.415 0.347 0.998
O 0.234 0.062 0.727
O 0.734 0.938 0.773
O 0.766 0.938 0.273
O 0.266 0.062 0.227
O 0.274 0.414 0.760
O 0.774 0.586 0.740
O 0.726 0.586 0.240
O 0.226 0.414 0.260
O 0.929 0.105 0.773
O 0.429 0.895 0.727
O 0.071 0.895 0.227
O 0.571 0.105 0.273
O 0.939 0.820 0.707
O 0.439 0.180 0.793
O 0.061 0.180 0.293
O 0.561 0.820 0.207
O 0.106 0.173 0.014
O 0.606 0.827 0.486
O 0.894 0.827 0.986
O 0.394 0.173 0.514

7.
Compound: CsErSiS4
Source: Materials Project
Functional: PBE-GGA
Structure: optimized geometry

## Properties
The value obtained for the total energy after the MP2020 corrections is -5.64 eV/atom. The value obtained for the total energy is -149.78 eV per cell. Its space group is P2_12_12_1. The piezoelectric modulus e_max comes out at 0.03 C/m2. As for the total moment: 0.0 Bohr magnetons per cell. The value obtained for the calculated formation energy is -1.718 eV per atom.

a b c (Å): 6.387 6.722 17.964
angles (deg): 90.00 90.00 90.00
Atoms (fractional coordinates):
Cs 0.513 0.994 0.532
Cs 0.013 0.506 0.468
Cs 0.487 0.494 0.968
Cs 0.987 0.006 0.032
Er 0.709 0.978 0.272
Er 0.209 0.522 0.728
Er 0.291 0.478 0.228
Er 0.791 0.022 0.772
Si 0.709 0.483 0.670
Si 0.291 0.983 0.830
Si 0.791 0.517 0.170
Si 0.209 0.017 0.330
S 0.066 0.753 0.851
S 0.566 0.747 0.149
S 0.934 0.253 0.649
S 0.434 0.247 0.351
S 0.396 0.753 0.340
S 0.104 0.247 0.840
S 0.896 0.747 0.660
S 0.604 0.253 0.160
S 0.945 0.011 0.401
S 0.445 0.489 0.599
S 0.055 0.511 0.099
S 0.555 0.989 0.901
S 0.398 0.919 0.720
S 0.898 0.581 0.280
S 0.602 0.419 0.780
S 0.102 0.081 0.220

8.
Compound: CsEr3Se5
Source: Materials Project
Functional: PBE-GGA
Structure: optimized geometry

## Properties
The value obtained for the total energy after the MP2020 corrections is -5.66 eV/atom. The value obtained for the total energy is -194.27 eV per cell. Its space group is Pnma. The value obtained for the calculated formation energy is -2.095 eV per atom.

a b c (Å): 4.125 12.430 22.130
angles (deg): 90.00 90.00 90.00
Atoms (fractional coordinates):
Cs 0.250 0.853 0.092
Cs 0.750 0.147 0.908
Cs 0.750 0.353 0.408
Cs 0.250 0.647 0.592
Er 0.750 0.797 0.825
Er 0.250 0.203 0.175
Er 0.250 0.297 0.675
Er 0.750 0.703 0.325
Er 0.250 0.957 0.698
Er 0.750 0.043 0.302
Er 0.750 0.457 0.802
Er 0.250 0.543 0.198
Er 0.750 0.392 0.054
Er 0.250 0.608 0.946
Er 0.250 0.892 0.446
Er 0.750 0.108 0.554
Se 0.250 0.948 0.569
Se 0.750 0.052 0.431
Se 0.750 0.448 0.931
Se 0.250 0.552 0.069
Se 0.750 0.764 0.952
Se 0.250 0.236 0.048
Se 0.250 0.264 0.548
Se 0.750 0.736 0.452
Se 0.250 0.949 0.825
Se 0.750 0.051 0.175
Se 0.750 0.449 0.675
Se 0.250 0.551 0.325
Se 0.750 0.126 0.685
Se 0.250 0.874 0.315
Se 0.250 0.626 0.815
Se 0.750 0.374 0.185
Se 0.750 0.693 0.198
Se 0.250 0.307 0.802
Se 0.250 0.193 0.302
Se 0.750 0.807 0.698